Record 1
Computed, not measured: a geometry-optimized MgTiF5 structure at the PBE level of DFT.

Computed properties:
* ΔE_f: -3.671 eV per atom
* E_tot: -6.06 eV/atom
* theoretical density: 3.0 g/cm³

Lattice parameters (Å, degrees): 5.349 5.349 7.491 110.63 110.63 72.65
Fractional coordinates of all 14 atoms:
Mg 0.023 0.977 0.750
Mg 0.977 0.023 0.250
Ti 0.500 0.500 0.000
Ti 0.500 0.500 0.500
F 0.181 0.798 0.050
F 0.202 0.819 0.450
F 0.230 0.279 0.372
F 0.279 0.230 0.872
F 0.363 0.637 0.750
F 0.637 0.363 0.250
F 0.721 0.770 0.128
F 0.770 0.721 0.628
F 0.798 0.181 0.550
F 0.819 0.202 0.950



Record 2
Computed, not measured: a geometry-optimized MgTiF6 structure at the PBE level of DFT.

Computed properties:
* ΔE_f: -3.798 eV per atom
* E_tot: -6.07 eV/atom
* theoretical density: 2.8 g/cm³

Lattice parameters (Å, degrees): 5.435 5.435 5.435 58.13 58.13 58.13
Fractional coordinates of all 8 atoms:
Mg 0.000 0.000 0.000
Ti 0.500 0.500 0.500
F 0.172 0.345 0.740
F 0.260 0.828 0.655
F 0.345 0.740 0.172
F 0.655 0.260 0.828
F 0.740 0.172 0.345
F 0.828 0.655 0.260



Record 3
Computed, not measured: a geometry-optimized NaTc2N5OF12 structure at the PBE level of DFT.

Computed properties:
* ΔE_f: -0.702 eV per atom
* E_tot: -4.77 eV/atom
* theoretical density: 2.4 g/cm³

Lattice parameters (Å, degrees): 7.481 15.475 6.253 90.00 90.00 90.00
Fractional coordinates of all 42 atoms:
Na 0.000 0.000 0.000
Na 0.500 0.500 0.000
Tc 0.156 0.406 0.500
Tc 0.344 0.906 0.500
Tc 0.656 0.094 0.500
Tc 0.844 0.594 0.500
N 0.000 0.500 0.000
N 0.101 0.788 0.000
N 0.162 0.137 0.500
N 0.338 0.637 0.500
N 0.399 0.288 0.000
N 0.500 0.000 0.000
N 0.601 0.712 0.000
N 0.662 0.363 0.500
N 0.838 0.863 0.500
N 0.899 0.212 0.000
O 0.000 0.500 0.500
O 0.500 0.000 0.500
F 0.025 0.351 0.286
F 0.025 0.351 0.714
F 0.059 0.171 0.000
F 0.186 0.812 0.500
F 0.195 0.958 0.284
F 0.195 0.958 0.716
F 0.305 0.458 0.284
F 0.305 0.458 0.716
F 0.314 0.312 0.500
F 0.441 0.671 0.000
F 0.475 0.851 0.286
F 0.475 0.851 0.714
F 0.525 0.149 0.286
F 0.525 0.149 0.714
F 0.559 0.329 0.000
F 0.686 0.688 0.500
F 0.695 0.542 0.284
F 0.695 0.542 0.716
F 0.805 0.042 0.284
F 0.805 0.042 0.716
F 0.814 0.188 0.500
F 0.941 0.829 0.000
F 0.975 0.649 0.286
F 0.975 0.649 0.714



Record 4
Computed, not measured: a geometry-optimized NaScN2F6 structure at the PBE level of DFT.

Computed properties:
* ΔE_f: -1.254 eV per atom
* E_tot: -4.56 eV/atom
* theoretical density: 2.2 g/cm³

Lattice parameters (Å, degrees): 6.080 6.080 6.080 60.00 60.00 60.00
Fractional coordinates of all 10 atoms:
Na 0.000 0.000 0.000
Sc 0.500 0.500 0.500
N 0.250 0.250 0.250
N 0.750 0.750 0.750
F 0.264 0.264 0.736
F 0.264 0.736 0.264
F 0.264 0.736 0.736
F 0.736 0.264 0.264
F 0.736 0.264 0.736
F 0.736 0.736 0.264



Record 5
Computed, not measured: a geometry-optimized NbNOF4 structure at the PBE level of DFT.

Computed properties:
* ΔE_f: -1.642 eV per atom
* E_tot: -5.71 eV/atom
* theoretical density: 2.2 g/cm³

Lattice parameters (Å, degrees): 8.560 8.560 4.092 90.00 90.00 90.00
Fractional coordinates of all 14 atoms:
Nb 0.250 0.250 0.040
Nb 0.750 0.750 0.960
N 0.250 0.750 0.500
N 0.750 0.250 0.500
O 0.250 0.250 0.504
O 0.750 0.750 0.496
F 0.026 0.250 0.981
F 0.250 0.026 0.981
F 0.250 0.474 0.981
F 0.474 0.250 0.981
F 0.526 0.750 0.019
F 0.750 0.526 0.019
F 0.750 0.974 0.019
F 0.974 0.750 0.019



Record 6
Computed, not measured: a geometry-optimized SbPN2O4F structure at the PBE level of DFT.

Computed properties:
* ΔE_f: -0.606 eV per atom
* E_tot: -5.57 eV/atom
* theoretical density: 2.5 g/cm³

Lattice parameters (Å, degrees): 9.408 9.408 9.408 139.15 139.15 59.15
Fractional coordinates of all 18 atoms:
Sb 0.198 0.198 0.000
Sb 0.802 0.802 0.000
P 0.250 0.750 0.500
P 0.750 0.250 0.500
N 0.205 0.656 0.861
N 0.344 0.205 0.549
N 0.656 0.795 0.451
N 0.795 0.344 0.139
O 0.125 0.860 0.371
O 0.140 0.510 0.265
O 0.245 0.875 0.735
O 0.490 0.755 0.629
O 0.510 0.245 0.371
O 0.755 0.125 0.265
O 0.860 0.490 0.735
O 0.875 0.140 0.629
F 0.084 0.084 0.000
F 0.916 0.916 0.000



Record 7
Computed, not measured: a geometry-optimized SbSN2O4F3 structure at the PBE level of DFT.

Computed properties:
* ΔE_f: -0.724 eV per atom
* E_tot: -4.94 eV/atom
* theoretical density: 2.6 g/cm³

Lattice parameters (Å, degrees): 8.888 18.361 9.566 90.00 90.00 90.00
Fractional coordinates of all 88 atoms:
Sb 0.172 0.109 0.093
Sb 0.172 0.391 0.593
Sb 0.328 0.609 0.093
Sb 0.328 0.891 0.593
Sb 0.672 0.109 0.407
Sb 0.672 0.391 0.907
Sb 0.828 0.609 0.407
Sb 0.828 0.891 0.907
S 0.122 0.000 0.820
S 0.122 0.500 0.320
S 0.378 0.000 0.320
S 0.378 0.500 0.820
S 0.622 0.000 0.680
S 0.622 0.500 0.180
S 0.878 0.000 0.180
S 0.878 0.500 0.680
N 0.142 0.707 0.763
N 0.142 0.793 0.263
N 0.167 0.124 0.525
N 0.167 0.376 0.025
N 0.333 0.624 0.525
N 0.333 0.876 0.025
N 0.358 0.207 0.763
N 0.358 0.293 0.263
N 0.642 0.707 0.737
N 0.642 0.793 0.237
N 0.667 0.124 0.975
N 0.667 0.376 0.475
N 0.833 0.624 0.975
N 0.833 0.876 0.475
N 0.858 0.207 0.737
N 0.858 0.293 0.237
O 0.024 0.051 0.756
O 0.024 0.449 0.256
O 0.043 0.567 0.381
O 0.043 0.933 0.881
O 0.213 0.031 0.944
O 0.213 0.469 0.444
O 0.246 0.528 0.228
O 0.246 0.972 0.728
O 0.254 0.028 0.228
O 0.254 0.472 0.728
O 0.287 0.531 0.944
O 0.287 0.969 0.444
O 0.457 0.067 0.381
O 0.457 0.433 0.881
O 0.476 0.551 0.756
O 0.476 0.949 0.256
O 0.524 0.051 0.744
O 0.524 0.449 0.244
O 0.543 0.567 0.119
O 0.543 0.933 0.619
O 0.713 0.031 0.556
O 0.713 0.469 0.056
O 0.746 0.528 0.272
O 0.746 0.972 0.772
O 0.754 0.028 0.272
O 0.754 0.472 0.772
O 0.787 0.531 0.556
O 0.787 0.969 0.056
O 0.957 0.067 0.119
O 0.957 0.433 0.619
O 0.976 0.551 0.744
O 0.976 0.949 0.244
F 0.085 0.172 0.962
F 0.085 0.328 0.462
F 0.129 0.640 0.067
F 0.129 0.860 0.567
F 0.135 0.169 0.248
F 0.135 0.331 0.748
F 0.365 0.669 0.248
F 0.365 0.831 0.748
F 0.371 0.140 0.067
F 0.371 0.360 0.567
F 0.415 0.672 0.962
F 0.415 0.828 0.462
F 0.585 0.172 0.538
F 0.585 0.328 0.038
F 0.629 0.640 0.433
F 0.629 0.860 0.933
F 0.635 0.169 0.252
F 0.635 0.331 0.752
F 0.865 0.669 0.252
F 0.865 0.831 0.752
F 0.871 0.140 0.433
F 0.871 0.360 0.933
F 0.915 0.672 0.538
F 0.915 0.828 0.038



Record 8
Computed, not measured: a geometry-optimized Sb2SN2O5F6 structure at the PBE level of DFT.

Computed properties:
* ΔE_f: -0.892 eV per atom
* E_tot: -4.59 eV/atom
* theoretical density: 3.1 g/cm³

Lattice parameters (Å, degrees): 8.661 8.661 14.414 90.00 90.00 90.00
Fractional coordinates of all 64 atoms:
Sb 0.119 0.342 0.136
Sb 0.158 0.619 0.386
Sb 0.342 0.119 0.864
Sb 0.381 0.842 0.114
Sb 0.619 0.158 0.614
Sb 0.658 0.881 0.364
Sb 0.842 0.381 0.886
Sb 0.881 0.658 0.636
S 0.047 0.953 0.250
S 0.453 0.453 0.000
S 0.547 0.547 0.500
S 0.953 0.047 0.750
N 0.157 0.687 0.879
N 0.187 0.343 0.629
N 0.313 0.843 0.621
N 0.343 0.187 0.371
N 0.657 0.813 0.871
N 0.687 0.157 0.121
N 0.813 0.657 0.129
N 0.843 0.313 0.379
O 0.066 0.066 0.500
O 0.077 0.121 0.245
O 0.104 0.869 0.165
O 0.121 0.077 0.755
O 0.131 0.896 0.335
O 0.369 0.396 0.915
O 0.379 0.577 0.495
O 0.396 0.369 0.085
O 0.423 0.621 0.005
O 0.434 0.566 0.750
O 0.566 0.434 0.250
O 0.577 0.379 0.505
O 0.604 0.631 0.585
O 0.621 0.423 0.995
O 0.631 0.604 0.415
O 0.869 0.104 0.835
O 0.879 0.923 0.255
O 0.896 0.131 0.665
O 0.923 0.879 0.745
O 0.934 0.934 0.000
F 0.040 0.385 0.824
F 0.057 0.713 0.495
F 0.086 0.622 0.682
F 0.115 0.540 0.074
F 0.122 0.414 0.432
F 0.213 0.443 0.245
F 0.287 0.943 0.005
F 0.378 0.914 0.818
F 0.385 0.040 0.176
F 0.414 0.122 0.568
F 0.443 0.213 0.755
F 0.460 0.885 0.426
F 0.540 0.115 0.926
F 0.557 0.787 0.255
F 0.586 0.878 0.068
F 0.615 0.960 0.676
F 0.622 0.086 0.318
F 0.713 0.057 0.505
F 0.787 0.557 0.745
F 0.878 0.586 0.932
F 0.885 0.460 0.574
F 0.914 0.378 0.182
F 0.943 0.287 0.995
F 0.960 0.615 0.324



Record 9
Computed, not measured: a geometry-optimized PNF2 structure at the PBE level of DFT.

Computed properties:
* ΔE_f: -1.963 eV per atom
* E_tot: -6.13 eV/atom
* theoretical density: 2.1 g/cm³

Lattice parameters (Å, degrees): 5.211 14.194 7.543 90.00 109.05 90.00
Fractional coordinates of all 32 atoms:
P 0.076 0.113 0.189
P 0.076 0.387 0.689
P 0.313 0.577 0.693
P 0.313 0.923 0.193
P 0.687 0.077 0.807
P 0.687 0.423 0.307
P 0.924 0.613 0.311
P 0.924 0.887 0.811
N 0.161 0.623 0.500
N 0.161 0.877 0.000
N 0.253 0.023 0.251
N 0.253 0.477 0.751
N 0.747 0.523 0.249
N 0.747 0.977 0.749
N 0.839 0.123 0.000
N 0.839 0.377 0.500
F 0.039 0.639 0.151
F 0.039 0.861 0.651
F 0.271 0.198 0.205
F 0.271 0.302 0.705
F 0.304 0.647 0.850
F 0.304 0.853 0.350
F 0.376 0.082 0.779
F 0.376 0.418 0.279
F 0.624 0.582 0.721
F 0.624 0.918 0.221
F 0.696 0.147 0.650
F 0.696 0.353 0.150
F 0.729 0.698 0.295
F 0.729 0.802 0.795
F 0.961 0.139 0.349
F 0.961 0.361 0.849



Record 10
Computed, not measured: a geometry-optimized PNF2 structure at the PBE level of DFT.

Computed properties:
* ΔE_f: -1.962 eV per atom
* E_tot: -6.13 eV/atom
* theoretical density: 1.9 g/cm³

Lattice parameters (Å, degrees): 5.375 14.796 7.896 90.00 110.44 90.00
Fractional coordinates of all 32 atoms:
P 0.090 0.092 0.216
P 0.090 0.408 0.716
P 0.245 0.597 0.667
P 0.245 0.903 0.167
P 0.755 0.097 0.833
P 0.755 0.403 0.333
P 0.910 0.592 0.284
P 0.910 0.908 0.784
N 0.139 0.620 0.461
N 0.139 0.880 0.961
N 0.240 0.001 0.241
N 0.240 0.499 0.741
N 0.760 0.501 0.259
N 0.760 0.999 0.759
N 0.861 0.120 0.039
N 0.861 0.380 0.539
F 0.021 0.604 0.127
F 0.021 0.896 0.627
F 0.122 0.664 0.769
F 0.122 0.836 0.269
F 0.304 0.168 0.269
F 0.304 0.332 0.769
F 0.462 0.129 0.758
F 0.462 0.371 0.258
F 0.538 0.629 0.742
F 0.538 0.871 0.242
F 0.696 0.668 0.231
F 0.696 0.832 0.731
F 0.878 0.164 0.731
F 0.878 0.336 0.231
F 0.979 0.104 0.373
F 0.979 0.396 0.873